1.
Density functional theory data (PBE-GGA) for a relaxed structure of La3Dy.

Summary:
calculated total energy	-38.57	eV for the cell shown

The structure in POSCAR format:
```
La3Dy
1.0
5.2075 0.0000 0.0000
0.0000 5.2075 0.0000
0.0000 0.0000 10.4458
La Dy
6 2
direct
0.0000 0.0000 0.0000
0.0000 0.5000 0.2500
0.0000 0.5000 0.7500
0.5000 0.0000 0.2500
0.5000 0.0000 0.7500
0.5000 0.5000 0.5000
0.0000 0.0000 0.5000
0.5000 0.5000 0.0000
```


2.
Density functional theory data (PBE-GGA) for a relaxed structure of LaDy.

Summary:
calculated total energy	-9.45	eV for the cell shown

The structure in POSCAR format:
```
LaDy
1.0
3.6600 0.0000 0.0000
-1.8300 3.1697 0.0000
0.0000 0.0000 5.9649
La Dy
1 1
direct
0.0000 0.0000 0.0000
0.3333 0.6667 0.5000
```


3.
Density functional theory data (PBE-GGA) for a relaxed structure of SrLaDySnO6.

Summary:
total energy after the MP2020 corrections	-7.595	eV per atom
magnetic moment	0.000	μB per cell

The structure in POSCAR format:
```
SrLaDySnO6
1.0
0.0000 4.2218 4.2218
4.2218 0.0000 4.2218
4.2218 4.2218 0.0000
Sr La Dy Sn O
1 1 1 1 6
direct
0.0000 0.0000 0.0000
0.5000 0.5000 0.5000
0.7500 0.7500 0.7500
0.2500 0.2500 0.2500
0.0079 0.0079 0.4921
0.0079 0.4921 0.0079
0.0079 0.4921 0.4921
0.4921 0.0079 0.0079
0.4921 0.0079 0.4921
0.4921 0.4921 0.0079
```


4.
Density functional theory data (PBE-GGA) for a relaxed structure of SrLaDySnO6.

Summary:
total energy after the MP2020 corrections	-7.709	eV per atom
magnetic moment	0.000	μB per cell

The structure in POSCAR format:
```
SrLaDySnO6
1.0
8.3782 0.0000 0.0000
0.0000 8.4006 0.0000
0.0000 0.0000 8.4164
Sr La Dy Sn O
4 4 4 4 24
direct
0.2500 0.2500 0.2500
0.2500 0.7500 0.7500
0.7500 0.2500 0.2500
0.7500 0.7500 0.7500
0.2500 0.2500 0.7500
0.2500 0.7500 0.2500
0.7500 0.2500 0.7500
0.7500 0.7500 0.2500
0.0000 0.0000 0.0000
0.0000 0.5000 0.5000
0.5000 0.0000 0.5000
0.5000 0.5000 0.0000
0.0000 0.0000 0.5000
0.0000 0.5000 0.0000
0.5000 0.0000 0.0000
0.5000 0.5000 0.5000
0.0368 0.2419 0.5563
0.0368 0.2581 0.9437
0.0476 0.0285 0.2588
0.0476 0.4715 0.2412
0.2414 0.5471 0.9681
0.2414 0.9529 0.5319
0.2586 0.5471 0.5319
0.2586 0.9529 0.9681
0.4524 0.0285 0.2412
0.4524 0.4715 0.2588
0.4632 0.2419 0.9437
0.4632 0.2581 0.5563
0.5368 0.7419 0.4437
0.5368 0.7581 0.0563
0.5476 0.5285 0.7412
0.5476 0.9715 0.7588
0.7414 0.0471 0.0319
0.7414 0.4529 0.4681
0.7586 0.0471 0.4681
0.7586 0.4529 0.0319
0.9524 0.5285 0.7588
0.9524 0.9715 0.7412
0.9632 0.7419 0.0563
0.9632 0.7581 0.4437
```